No. 1
! GGA-PBE CeMg6W, relaxed; values from VASP
&SYSTEM
  ibrav = 0, nat = 16, ntyp = 3
/
ATOMIC_SPECIES
Ce 140.12 Ce.upf
Mg 24.30 Mg.upf
W 183.84 W.upf
ATOMIC_POSITIONS angstrom
Ce -1.754 -4.309 0.599
Ce 1.689 -7.303 5.342
Mg -3.397 -3.000 -1.604
Mg -1.072 -1.463 -0.239
Mg 0.709 -3.067 2.244
Mg -1.821 -3.806 3.821
Mg -4.243 -5.406 2.400
Mg -1.180 -0.721 2.822
Mg 0.046 -5.993 3.139
Mg -2.401 -7.609 1.703
Mg -0.619 -9.213 4.186
Mg -3.150 -9.952 5.764
Mg -0.800 -8.399 7.143
Mg -2.509 -6.867 4.764
W -3.514 -2.523 1.586
W -0.071 -5.516 6.330
CELL_PARAMETERS angstrom
-3.092 1.721 3.330
-4.772 -3.153 -2.801
2.114 -9.139 6.686
! Energy above the lowest structure with this stoichiometry (eV per atom): 0.000

---

No. 2
! GGA-PBE LiRhF6, relaxed; values from VASP
&SYSTEM
  ibrav = 0, nat = 8, ntyp = 3
/
ATOMIC_SPECIES
Li 6.94 Li.upf
Rh 102.91 Rh.upf
F 19.00 F.upf
ATOMIC_POSITIONS angstrom
Li 6.528 0.000 2.127
Rh 0.000 0.000 0.000
F 5.806 1.037 0.504
F 5.471 -1.661 1.532
F 8.140 -0.624 1.014
F 4.915 0.624 3.239
F 7.584 1.661 2.721
F 7.249 -1.037 3.750
CELL_PARAMETERS angstrom
4.814 -2.583 0.000
4.814 2.583 0.000
3.428 0.000 4.253
! Crystal system: trigonal
! Corrected total energy (MP2020 scheme) (Ry/atom): -0.34706

---

No. 3
! GGA-PBE Tl2CuH12Se2O14, relaxed; values from VASP
&SYSTEM
  ibrav = 0, nat = 62, ntyp = 5
/
ATOMIC_SPECIES
Tl 204.38 Tl.upf
Cu 63.55 Cu.upf
H 1.01 H.upf
Se 78.96 Se.upf
O 16.00 O.upf
ATOMIC_POSITIONS angstrom
Tl 1.807 5.626 5.725
Tl 8.227 4.235 8.111
Tl 11.034 3.084 3.499
Tl 4.613 4.475 1.113
Cu 6.420 1.150 4.612
Cu 0.000 0.000 0.000
H 5.305 6.006 6.385
H 11.726 3.854 7.452
H 7.535 2.704 2.840
H 1.115 4.856 1.773
H 4.841 7.518 6.736
H 11.261 2.342 7.100
H 8.000 1.192 2.488
H 1.580 6.368 2.124
H 5.132 0.962 2.016
H 11.553 6.598 2.596
H 7.708 7.748 7.208
H 1.288 2.112 6.628
H 4.019 7.127 3.104
H 10.439 0.433 1.508
H 8.822 1.583 6.120
H 2.401 8.277 7.716
H 7.169 5.281 3.692
H 0.749 2.278 0.920
H 5.671 3.429 5.532
H 12.092 6.432 8.304
H 8.147 5.649 4.916
H 1.727 4.211 8.920
H 4.694 3.061 4.308
H 11.114 4.499 0.304
Se 4.597 3.763 8.235
Se 11.017 6.097 5.601
Se 8.244 4.947 0.989
Se 1.823 2.613 3.623
O 3.217 4.712 8.298
O 9.637 5.148 5.538
O 9.624 3.998 0.926
O 3.203 3.562 3.686
O 5.491 1.638 0.410
O 11.912 5.922 4.202
O 7.349 7.072 8.814
O 0.929 2.788 5.022
O 5.565 4.320 6.967
O 11.985 5.541 6.869
O 7.276 4.390 2.257
O 0.856 3.169 2.355
O 4.178 2.150 7.987
O 10.598 7.710 5.849
O 8.663 6.560 1.237
O 2.242 1.000 3.375
O 5.055 6.889 5.992
O 11.476 2.971 7.844
O 7.785 1.821 3.232
O 1.365 5.739 1.380
O 4.952 6.893 2.861
O 11.373 0.667 1.751
O 7.888 1.817 6.363
O 1.468 8.043 7.473
O 7.218 5.764 4.570
O 0.797 1.796 0.042
O 5.623 2.946 4.654
O 12.043 6.914 9.183
CELL_PARAMETERS angstrom
12.841 0.000 0.000
0.000 6.410 0.000
0.000 2.300 9.224
! Crystal system: monoclinic
! Corrected total energy (MP2020 scheme) (Ry/atom): -0.38825

---

No. 4
! GGA-PBE Na4ScNb3Si4P2O24, relaxed; values from VASP
&SYSTEM
  ibrav = 0, nat = 114, ntyp = 6
/
ATOMIC_SPECIES
Na 22.99 Na.upf
Sc 44.96 Sc.upf
Nb 92.91 Nb.upf
Si 28.09 Si.upf
P 30.97 P.upf
O 16.00 O.upf
ATOMIC_POSITIONS angstrom
Na 2.896 4.873 17.075
Na 7.308 2.846 17.092
Na -1.600 7.583 1.922
Na -1.271 2.643 1.923
Na 7.363 2.298 9.466
Na 3.310 5.255 9.494
Na -4.429 7.769 11.415
Na 4.475 7.727 22.778
Na 4.467 2.509 19.042
Na 4.464 2.534 7.469
Na 0.070 5.184 3.794
Na -0.008 5.228 15.219
Sc -4.454 7.779 8.043
Sc 4.469 2.554 15.662
Sc 4.493 2.595 4.219
Nb 0.017 0.065 19.572
Nb 8.927 0.005 14.739
Nb 4.459 7.751 3.340
Nb 4.513 2.599 22.348
Nb 4.536 2.580 11.011
Nb 0.036 5.195 0.426
Nb 0.007 5.214 11.934
Nb -0.044 5.233 7.102
Nb 0.022 5.219 18.613
Si 1.339 2.241 17.140
Si 6.379 0.003 17.168
Si 7.121 2.598 13.388
Si 3.206 4.854 13.364
Si 5.773 4.826 1.920
Si 5.776 0.338 1.922
Si 1.914 2.631 1.931
Si 2.644 5.181 20.927
Si -1.305 2.954 20.941
Si -1.294 7.457 20.961
Si 1.268 7.453 9.518
Si -2.591 5.228 9.531
P 2.615 0.024 5.723
P 3.188 5.498 5.764
P 7.676 2.254 5.759
P -3.181 5.592 17.140
P 3.186 0.333 13.335
P 1.296 2.974 9.520
O 1.733 0.151 6.958
O 3.735 6.169 7.031
O 7.985 1.447 7.027
O 0.970 1.297 18.430
O 5.162 6.254 18.381
O 7.421 0.166 18.422
O 2.886 7.497 15.854
O 0.594 1.493 15.858
O -3.447 6.461 15.878
O 3.487 6.444 4.518
O -0.667 1.569 4.477
O -2.778 7.571 4.439
O 6.280 2.858 14.720
O 3.849 0.913 14.572
O 3.376 3.994 14.705
O 5.671 3.887 3.205
O 5.051 0.924 3.215
O 2.766 2.870 3.247
O 2.847 2.281 0.616
O 5.087 4.145 0.590
O 5.587 1.316 0.609
O 3.489 1.230 12.075
O 3.839 4.107 11.999
O 6.158 2.362 12.023
O 1.647 5.414 22.211
O -0.634 3.636 22.268
O -1.017 6.530 22.283
O 0.998 6.456 10.780
O 0.652 3.647 10.760
O -1.583 5.351 10.797
O -1.592 4.905 8.238
O 0.601 6.665 8.218
O 1.068 3.892 8.277
O -0.999 3.859 19.598
O -0.612 6.691 19.659
O 1.669 4.971 19.601
O -3.611 6.463 9.432
O 2.875 7.639 9.411
O 0.623 1.603 9.398
O -0.604 1.478 20.795
O -2.906 7.567 20.766
O 3.559 6.508 20.759
O 8.079 1.252 13.461
O 1.657 0.177 13.442
O 3.918 6.337 13.454
O 5.164 6.370 2.111
O 7.429 0.218 2.113
O 0.925 1.268 2.118
O 5.544 1.367 17.073
O 2.923 2.512 17.099
O 5.177 4.177 17.049
O 3.798 4.119 5.612
O 6.175 2.436 5.619
O 3.547 1.212 5.615
O 3.538 3.838 21.097
O 6.072 2.789 21.088
O 3.906 1.125 21.104
O 5.082 1.151 9.674
O 2.841 2.875 9.683
O 5.477 3.824 9.689
O 0.831 3.853 1.715
O -1.591 5.077 1.691
O 0.620 6.638 1.700
O -0.677 6.717 13.101
O 1.595 5.053 13.081
O -0.900 3.896 13.083
O -1.024 6.471 5.860
O 1.614 5.410 5.862
O -0.585 3.669 5.867
O 0.549 3.704 17.273
O -1.632 5.401 17.269
O 1.026 6.387 17.263
CELL_PARAMETERS angstrom
8.987 -0.009 0.008
-4.501 7.790 -0.004
0.020 0.001 22.849
! Crystal system: triclinic
! Corrected total energy (MP2020 scheme) (Ry/atom): -0.59449

---

No. 5
! GGA-PBE Ti3PdO, relaxed; values from VASP
&SYSTEM
  ibrav = 0, nat = 10, ntyp = 3
/
ATOMIC_SPECIES
Ti 47.87 Ti.upf
Pd 106.42 Pd.upf
O 16.00 O.upf
ATOMIC_POSITIONS angstrom
Ti -1.174 1.254 -3.847
Ti -4.570 -0.675 -0.948
Ti -2.035 -0.312 0.520
Ti -0.370 -0.721 -1.883
Ti -3.766 -2.650 1.016
Ti -6.105 -0.935 1.559
Pd -2.091 -2.659 -1.109
Pd -2.849 1.263 -1.722
O -4.070 -0.623 1.039
O 0.000 0.000 0.000
CELL_PARAMETERS angstrom
-3.313 -4.545 1.653
-4.827 3.299 0.426
3.200 -0.150 -4.909
! Crystal system: tetragonal
! Corrected total energy (MP2020 scheme) (Ry/atom): -0.60400

---

No. 6
! GGA-PBE UAl10Fe2, relaxed; values from VASP
&SYSTEM
  ibrav = 0, nat = 26, ntyp = 3
/
ATOMIC_SPECIES
U 238.03 U.upf
Al 26.98 Al.upf
Fe 55.84 Fe.upf
ATOMIC_POSITIONS angstrom
U 4.442 3.858 2.241
U 4.442 -3.858 6.723
Al 3.099 1.322 6.723
Al 4.442 1.283 0.444
Al 4.442 -3.503 3.603
Al 2.425 1.412 2.241
Al 5.786 1.322 6.723
Al 4.442 -1.283 8.519
Al 5.786 -1.322 2.241
Al 4.442 -1.283 4.926
Al 4.442 3.503 5.361
Al 6.460 1.412 2.241
Al 2.425 -1.412 6.723
Al 3.099 -1.322 2.241
Al 6.891 0.000 4.482
Al 6.891 0.000 0.000
Al 6.460 -1.412 6.723
Al 4.442 -3.503 0.879
Al 4.442 1.283 4.038
Al 4.442 3.503 8.085
Al 1.994 0.000 0.000
Al 1.994 0.000 4.482
Fe 2.221 2.556 0.000
Fe 2.221 -2.556 4.482
Fe 2.221 2.556 4.482
Fe 2.221 -2.556 0.000
CELL_PARAMETERS angstrom
4.442 -5.113 0.000
4.442 5.113 0.000
0.000 0.000 8.964
! Crystal system: orthorhombic

---

No. 7
! GGA-PBE LiC2N2, relaxed; values from VASP
&SYSTEM
  ibrav = 0, nat = 10, ntyp = 3
/
ATOMIC_SPECIES
Li 6.94 Li.upf
C 12.01 C.upf
N 14.01 N.upf
ATOMIC_POSITIONS angstrom
Li 4.443 1.237 0.520
Li 4.350 -0.804 -1.402
C 3.439 3.967 1.224
C 6.086 1.648 -2.042
C 3.187 -1.619 -4.036
C 2.707 -1.215 1.160
N 3.362 -0.539 0.412
N 3.227 -0.743 -3.211
N 3.400 3.091 0.399
N 5.431 0.972 -1.293
CELL_PARAMETERS angstrom
3.149 -2.475 -4.841
3.478 4.823 2.030
2.166 -1.915 1.930
! Crystal system: monoclinic
! Corrected total energy (MP2020 scheme) (Ry/atom): -0.54453

---

No. 8
! GGA-PBE FeS2, relaxed; values from VASP
&SYSTEM
  ibrav = 0, nat = 12, ntyp = 2
/
ATOMIC_SPECIES
Fe 55.84 Fe.upf
S 32.06 S.upf
ATOMIC_POSITIONS angstrom
Fe -0.606 -3.248 3.840
Fe 1.698 -1.050 4.656
Fe 2.447 -3.551 2.658
Fe 0.506 -1.121 1.593
S 1.498 -3.322 4.721
S 1.545 -5.370 10.109
S 4.710 -5.684 8.883
S 2.321 -7.964 8.038
S 3.558 -7.890 11.213
S 3.511 -5.841 5.826
S 2.735 -3.248 7.897
S 0.346 -5.527 7.051
CELL_PARAMETERS angstrom
3.882 -4.859 2.130
2.385 0.143 6.124
-2.222 -4.253 4.493
! Crystal system: cubic
! Corrected total energy (MP2020 scheme) (Ry/atom): -0.45407

---

Number 1: DFT formation energy 0.27 eV per atom. Number 2: DFT formation energy -2.13 eV per atom. Number 3: DFT formation energy -1.22 eV per atom. Number 4: DFT formation energy -3.00 eV per atom. Number 5: DFT formation energy -1.45 eV per atom. Number 6: DFT formation energy -0.26 eV per atom. Number 7: DFT formation energy 0.00 eV per atom. Number 8: DFT formation energy -0.60 eV per atom.